No. 1
# CsP2H5O8, relaxed, DFT PBE-GGA
# - formation energy from the elements (meV/atom) = -2053
# - E (eV per atom) = -5.976
# - relative energy among the computed polymorphs (meV per atom) = 2.0
data_CsP2H5O8
_chemical_formula_sum 'Cs4 P8 H20 O32'
_cell_length_a 7.7995
_cell_length_b 9.6638
_cell_length_c 11.7508
_cell_angle_alpha 77.62
_cell_angle_beta 90.00
_cell_angle_gamma 90.00
_symmetry_space_group_name_H-M 'P 1'
_symmetry_Int_Tables_number 1
loop_
_symmetry_equiv_pos_as_xyz
'x,y,z'
loop_
_atom_site_label
_atom_site_fract_x
_atom_site_fract_y
_atom_site_fract_z
Cs1 0.6599 0.4686 0.2530
Cs2 0.1599 0.0314 0.7470
Cs3 0.3401 0.5314 0.7470
Cs4 0.8401 0.9686 0.2530
P1 0.1813 0.3315 0.4228
P2 0.6813 0.1685 0.5772
P3 0.8187 0.6685 0.5772
P4 0.3187 0.8315 0.4228
P5 0.1904 0.2920 0.0756
P6 0.6904 0.2080 0.9244
P7 0.8096 0.7080 0.9244
P8 0.3096 0.7920 0.0756
H1 0.2751 0.5565 0.4054
H2 0.7751 0.9435 0.5946
H3 0.7249 0.4435 0.5946
H4 0.2249 0.0565 0.4054
H5 0.9745 0.3152 0.5571
H6 0.4745 0.1848 0.4429
H7 0.0255 0.6848 0.4429
H8 0.5255 0.8152 0.5571
H9 0.0415 0.3071 0.2491
H10 0.5415 0.1929 0.7509
H11 0.9585 0.6929 0.7509
H12 0.4585 0.8071 0.2491
H13 0.2681 0.5111 0.0928
H14 0.7681 0.9889 0.9072
H15 0.7319 0.4889 0.9072
H16 0.2319 0.0111 0.0928
H17 0.9851 0.3430 0.9394
H18 0.4851 0.1570 0.0606
H19 0.0149 0.6570 0.0606
H20 0.5149 0.8430 0.9394
O1 0.2860 0.1990 0.4190
O2 0.7860 0.3010 0.5810
O3 0.7140 0.8010 0.5810
O4 0.2140 0.6990 0.4190
O5 0.0293 0.3525 0.3367
O6 0.5293 0.1475 0.6633
O7 0.9707 0.6475 0.6633
O8 0.4707 0.8525 0.3367
O9 0.3147 0.4566 0.3979
O10 0.8147 0.0434 0.6021
O11 0.6853 0.5434 0.6021
O12 0.1853 0.9566 0.3979
O13 0.1067 0.3268 0.5487
O14 0.6067 0.1732 0.4513
O15 0.8933 0.6732 0.4513
O16 0.3933 0.8268 0.5487
O17 0.2996 0.1599 0.0797
O18 0.7996 0.3401 0.9203
O19 0.7004 0.8401 0.9203
O20 0.2004 0.6599 0.0797
O21 0.0375 0.2626 0.1610
O22 0.5375 0.2374 0.8390
O23 0.9625 0.7374 0.8390
O24 0.4625 0.7626 0.1610
O25 0.3151 0.4088 0.1031
O26 0.8151 0.0912 0.8969
O27 0.6849 0.5912 0.8969
O28 0.1849 0.9088 0.1031
O29 0.1178 0.3504 0.9489
O30 0.6178 0.1496 0.0511
O31 0.8822 0.6496 0.0511
O32 0.3822 0.8504 0.9489

=====

No. 2
# Dy4B4O11F2, relaxed, DFT PBE-GGA
# - formation energy from the elements (meV/atom) = -3563
# - E (eV per atom) = -8.083
data_Dy4B4O11F2
_chemical_formula_sum 'Dy8 B8 O22 F4'
_cell_length_a 7.1473
_cell_length_b 7.1473
_cell_length_c 13.6704
_cell_angle_alpha 88.75
_cell_angle_beta 88.75
_cell_angle_gamma 37.78
_symmetry_space_group_name_H-M 'P 1'
_symmetry_Int_Tables_number 1
loop_
_symmetry_equiv_pos_as_xyz
'x,y,z'
loop_
_atom_site_label
_atom_site_fract_x
_atom_site_fract_y
_atom_site_fract_z
Dy1 0.4587 0.4235 0.3702
Dy2 0.5765 0.5413 0.1298
Dy3 0.5413 0.5765 0.6298
Dy4 0.4235 0.4587 0.8702
Dy5 0.7343 0.7046 0.3696
Dy6 0.2954 0.2657 0.1304
Dy7 0.2657 0.2954 0.6304
Dy8 0.7046 0.7343 0.8696
B1 0.0681 0.1193 0.2863
B2 0.8807 0.9319 0.2137
B3 0.9319 0.8807 0.7137
B4 0.1193 0.0681 0.7863
B5 0.8614 0.9464 0.5228
B6 0.0536 0.1386 0.9772
B7 0.1386 0.0536 0.4772
B8 0.9464 0.8614 0.0228
O1 0.9500 0.2258 0.3951
O2 0.7742 0.0500 0.1049
O3 0.0500 0.7742 0.6049
O4 0.2258 0.9500 0.8951
O5 0.6374 0.0103 0.2571
O6 0.9897 0.3626 0.2429
O7 0.3626 0.9897 0.7429
O8 0.0103 0.6374 0.7571
O9 0.5874 0.2550 0.5335
O10 0.7450 0.4126 0.9665
O11 0.4126 0.7450 0.4665
O12 0.2550 0.5874 0.0335
O13 0.8399 0.1601 0.2500
O14 0.1601 0.8399 0.7500
O15 0.9481 0.8205 0.4319
O16 0.1795 0.0519 0.0681
O17 0.0519 0.1795 0.5681
O18 0.8205 0.9481 0.9319
O19 0.3791 0.8176 0.2764
O20 0.1824 0.6209 0.2236
O21 0.6209 0.1824 0.7236
O22 0.8176 0.3791 0.7764
F1 0.2962 0.2418 0.4242
F2 0.7582 0.7038 0.0758
F3 0.7038 0.7582 0.5758
F4 0.2418 0.2962 0.9242

=====

No. 3
# Ba2MgN2, relaxed, DFT PBE-GGA
# - formation energy from the elements (meV/atom) = -487
# - E (eV per atom) = -4.765
data_Ba2MgN2
_chemical_formula_sum 'Ba2 Mg1 N2'
_cell_length_a 4.1812
_cell_length_b 4.1796
_cell_length_c 7.5849
_cell_angle_alpha 105.99
_cell_angle_beta 106.00
_cell_angle_gamma 90.00
_symmetry_space_group_name_H-M 'P 1'
_symmetry_Int_Tables_number 1
loop_
_symmetry_equiv_pos_as_xyz
'x,y,z'
loop_
_atom_site_label
_atom_site_fract_x
_atom_site_fract_y
_atom_site_fract_z
Ba1 0.8377 0.8377 0.1753
Ba2 0.1623 0.1623 0.8247
Mg1 0.5000 0.5000 0.5000
N1 0.3584 0.3584 0.2167
N2 0.6416 0.6416 0.7833

=====

No. 4
# LiMo6Se8, relaxed, DFT PBE-GGA
# - formation energy from the elements (meV/atom) = -841
# - E (eV per atom) = -6.919
data_LiMo6Se8
_chemical_formula_sum 'Li1 Mo6 Se8'
_cell_length_a 6.7920
_cell_length_b 6.7920
_cell_length_c 6.7920
_cell_angle_alpha 91.36
_cell_angle_beta 91.36
_cell_angle_gamma 91.36
_symmetry_space_group_name_H-M 'P 1'
_symmetry_Int_Tables_number 1
loop_
_symmetry_equiv_pos_as_xyz
'x,y,z'
loop_
_atom_site_label
_atom_site_fract_x
_atom_site_fract_y
_atom_site_fract_z
Li1 0.0000 0.0000 0.0000
Mo1 0.7684 0.5833 0.4492
Mo2 0.4492 0.7684 0.5833
Mo3 0.5833 0.4492 0.7684
Mo4 0.2316 0.4167 0.5508
Mo5 0.5508 0.2316 0.4167
Mo6 0.4167 0.5508 0.2316
Se1 0.7764 0.7764 0.7764
Se2 0.2236 0.2236 0.2236
Se3 0.2562 0.6191 0.8739
Se4 0.8739 0.2562 0.6191
Se5 0.6191 0.8739 0.2562
Se6 0.7438 0.3809 0.1261
Se7 0.1261 0.7438 0.3809
Se8 0.3809 0.1261 0.7438

=====

No. 5
# Ac2Mg, relaxed, DFT PBE-GGA
# - formation energy from the elements (meV/atom) = -17
# - E (eV per atom) = -3.298
# - relative energy among the computed polymorphs (meV per atom) = 12.9
data_Ac2Mg
_chemical_formula_sum 'Ac4 Mg2'
_cell_length_a 9.5857
_cell_length_b 9.5857
_cell_length_c 6.0746
_cell_angle_alpha 90.00
_cell_angle_beta 90.00
_cell_angle_gamma 155.35
_symmetry_space_group_name_H-M 'P 1'
_symmetry_Int_Tables_number 1
loop_
_symmetry_equiv_pos_as_xyz
'x,y,z'
loop_
_atom_site_label
_atom_site_fract_x
_atom_site_fract_y
_atom_site_fract_z
Ac1 0.2279 0.7721 0.2500
Ac2 0.9167 0.0833 0.2500
Ac3 0.7721 0.2279 0.7500
Ac4 0.0833 0.9167 0.7500
Mg1 0.5705 0.4295 0.2500
Mg2 0.4295 0.5705 0.7500

=====

No. 6
# Ti3CoCu2S8, relaxed, DFT PBE-GGA
# - formation energy from the elements (meV/atom) = -1222
# - E (eV per atom) = -6.084
data_Ti3CoCu2S8
_chemical_formula_sum 'Ti3 Co1 Cu2 S8'
_cell_length_a 7.0411
_cell_length_b 7.0411
_cell_length_c 7.0411
_cell_angle_alpha 59.29
_cell_angle_beta 59.29
_cell_angle_gamma 59.29
_symmetry_space_group_name_H-M 'P 1'
_symmetry_Int_Tables_number 1
loop_
_symmetry_equiv_pos_as_xyz
'x,y,z'
loop_
_atom_site_label
_atom_site_fract_x
_atom_site_fract_y
_atom_site_fract_z
Ti1 0.0000 0.5000 0.5000
Ti2 0.5000 0.5000 0.0000
Ti3 0.5000 0.0000 0.5000
Co1 0.5000 0.5000 0.5000
Cu1 0.1241 0.1241 0.1241
Cu2 0.8759 0.8759 0.8759
S1 0.2634 0.7281 0.2634
S2 0.2634 0.2634 0.7281
S3 0.7281 0.2634 0.2634
S4 0.2541 0.2541 0.2541
S5 0.7366 0.2719 0.7366
S6 0.7366 0.7366 0.2719
S7 0.2719 0.7366 0.7366
S8 0.7459 0.7459 0.7459

=====

No. 7
# GaH3, relaxed, DFT PBE-GGA
# - formation energy from the elements (meV/atom) = 601
# - E (eV per atom) = -2.566
data_GaH3
_chemical_formula_sum 'Ga1 H3'
_cell_length_a 3.8205
_cell_length_b 3.8205
_cell_length_c 3.8205
_cell_angle_alpha 135.92
_cell_angle_beta 135.92
_cell_angle_gamma 64.11
_symmetry_space_group_name_H-M 'P 1'
_symmetry_Int_Tables_number 1
loop_
_symmetry_equiv_pos_as_xyz
'x,y,z'
loop_
_atom_site_label
_atom_site_fract_x
_atom_site_fract_y
_atom_site_fract_z
Ga1 0.0000 0.0000 0.0000
H1 0.7500 0.2500 0.5000
H2 0.2500 0.7500 0.5000
H3 0.5000 0.5000 0.0000

=====

No. 8
# Na2Al2Si3H4O12, relaxed, DFT PBE-GGA
# - formation energy from the elements (meV/atom) = -2677
# - E (eV per atom) = -6.638
# - relative energy among the computed polymorphs (meV per atom) = 10.1
data_Na2Al2Si3H4O12
_chemical_formula_sum 'Na8 Al8 Si12 H16 O48'
_cell_length_a 13.2670
_cell_length_b 13.6079
_cell_length_c 9.9904
_cell_angle_alpha 76.25
_cell_angle_beta 70.90
_cell_angle_gamma 43.43
_symmetry_space_group_name_H-M 'P 1'
_symmetry_Int_Tables_number 1
loop_
_symmetry_equiv_pos_as_xyz
'x,y,z'
loop_
_atom_site_label
_atom_site_fract_x
_atom_site_fract_y
_atom_site_fract_z
Na1 0.2464 0.0641 0.5603
Na2 0.1562 0.5599 0.9359
Na3 0.4627 0.4416 0.0612
Na4 0.1212 0.9379 0.4356
Na5 0.7475 0.0625 0.5591
Na6 0.6515 0.5625 0.9383
Na7 0.9635 0.4392 0.0601
Na8 0.6186 0.9401 0.4392
Al1 0.2052 0.0762 0.1859
Al2 0.1486 0.6916 0.5830
Al3 0.7039 0.0780 0.1902
Al4 0.4432 0.4257 0.6868
Al5 0.4179 0.5808 0.3146
Al6 0.4120 0.9217 0.8133
Al7 0.9444 0.4231 0.6861
Al8 0.9209 0.5775 0.3123
Si1 0.9986 0.0004 0.0026
Si2 0.0657 0.1895 0.9187
Si3 0.5001 0.9999 0.9996
Si4 0.1233 0.5013 0.4991
Si5 0.4717 0.3115 0.4216
Si6 0.5664 0.1889 0.9244
Si7 0.3104 0.8074 0.0780
Si8 0.6266 0.4988 0.4979
Si9 0.6502 0.6904 0.5795
Si10 0.9734 0.3099 0.4194
Si11 0.8078 0.8113 0.0801
Si12 0.9090 0.9238 0.8172
H1 0.3740 0.1000 0.2910
H2 0.3471 0.1995 0.3861
H3 0.1479 0.4030 0.7901
H4 0.1464 0.5986 0.2110
H5 0.2698 0.3004 0.8832
H6 0.1664 0.6977 0.1155
H7 0.1730 0.8983 0.7091
H8 0.3379 0.7994 0.6137
H9 0.8742 0.1001 0.2912
H10 0.8472 0.1994 0.3861
H11 0.6476 0.4025 0.7899
H12 0.6459 0.5984 0.2102
H13 0.7704 0.3004 0.8830
H14 0.6644 0.6988 0.1148
H15 0.6716 0.8990 0.7094
H16 0.8399 0.7988 0.6128
O1 0.0894 0.1948 0.0660
O2 0.1066 0.1455 0.3593
O3 0.0044 0.3041 0.5672
O4 0.2248 0.0807 0.8038
O5 0.3662 0.0471 0.1387
O6 0.0636 0.4482 0.6365
O7 0.0619 0.5404 0.3585
O8 0.3814 0.1070 0.3830
O9 0.1663 0.3925 0.8837
O10 0.0692 0.6421 0.5457
O11 0.1948 0.6078 0.1165
O12 0.3094 0.3608 0.4522
O13 0.9902 0.8688 0.6562
O14 0.5899 0.1954 0.0696
O15 0.4822 0.1359 0.9514
O16 0.1622 0.8604 0.0413
O17 0.2539 0.5812 0.7097
O18 0.6047 0.1460 0.3626
O19 0.2457 0.7056 0.4278
O20 0.9901 0.9546 0.8700
O21 0.5060 0.3036 0.5684
O22 0.4711 0.4186 0.3052
O23 0.4627 0.3471 0.8576
O24 0.4110 0.6437 0.1363
O25 0.2510 0.9172 0.1924
O26 0.7326 0.0735 0.8138
O27 0.8651 0.0476 0.1404
O28 0.2344 0.8933 0.6175
O29 0.5640 0.4511 0.6369
O30 0.5620 0.5441 0.3591
O31 0.8810 0.1072 0.3835
O32 0.6671 0.3926 0.8827
O33 0.5816 0.6372 0.5447
O34 0.4148 0.8019 0.9312
O35 0.6970 0.6068 0.1170
O36 0.8111 0.3590 0.4518
O37 0.5057 0.8540 0.6393
O38 0.9798 0.1358 0.9482
O39 0.6633 0.8618 0.0432
O40 0.7521 0.5830 0.6961
O41 0.7461 0.6973 0.4326
O42 0.5019 0.9533 0.8638
O43 0.9689 0.4192 0.3032
O44 0.9516 0.3535 0.8604
O45 0.9103 0.6474 0.1362
O46 0.7521 0.9178 0.1944
O47 0.7346 0.8924 0.6177
O48 0.9111 0.8115 0.9299

=====

No. 9
# CsSb2F7, relaxed, DFT PBE-GGA
# - formation energy from the elements (meV/atom) = -2808
# - E (eV per atom) = -4.740
# - relative energy among the computed polymorphs (meV per atom) = 0.0
data_CsSb2F7
_chemical_formula_sum 'Cs2 Sb4 F14'
_cell_length_a 10.5127
_cell_length_b 10.5127
_cell_length_c 5.7410
_cell_angle_alpha 88.45
_cell_angle_beta 88.45
_cell_angle_gamma 38.50
_symmetry_space_group_name_H-M 'P 1'
_symmetry_Int_Tables_number 1
loop_
_symmetry_equiv_pos_as_xyz
'x,y,z'
loop_
_atom_site_label
_atom_site_fract_x
_atom_site_fract_y
_atom_site_fract_z
Cs1 0.0000 0.5000 0.5000
Cs2 0.5000 0.0000 0.0000
Sb1 0.8517 0.3143 0.0405
Sb2 0.3143 0.8517 0.5405
Sb3 0.6857 0.1483 0.4595
Sb4 0.1483 0.6857 0.9595
F1 0.5330 0.3075 0.1701
F2 0.8481 0.8880 0.2994
F3 0.4892 0.1552 0.5067
F4 0.3075 0.5330 0.6701
F5 0.1552 0.4892 0.0067
F6 0.1519 0.1120 0.7006
F7 0.4670 0.6925 0.8299
F8 0.5108 0.8448 0.4933
F9 0.9192 0.0808 0.2500
F10 0.0808 0.9192 0.7500
F11 0.8448 0.5108 0.9933
F12 0.8880 0.8481 0.7994
F13 0.1120 0.1519 0.2006
F14 0.6925 0.4670 0.3299

=====

No. 10
# Ca2PrBeO5, relaxed, DFT PBE-GGA
# - formation energy from the elements (meV/atom) = -3156
# - E (eV per atom) = -6.915
data_Ca2PrBeO5
_chemical_formula_sum 'Ca8 Pr4 Be4 O20'
_cell_length_a 6.4875
_cell_length_b 7.2750
_cell_length_c 9.4095
_cell_angle_alpha 90.00
_cell_angle_beta 90.00
_cell_angle_gamma 90.00
_symmetry_space_group_name_H-M 'P 1'
_symmetry_Int_Tables_number 1
loop_
_symmetry_equiv_pos_as_xyz
'x,y,z'
loop_
_atom_site_label
_atom_site_fract_x
_atom_site_fract_y
_atom_site_fract_z
Ca1 0.5798 0.5279 0.8264
Ca2 0.4202 0.4721 0.1736
Ca3 0.0798 0.4721 0.6736
Ca4 0.4202 0.0279 0.1736
Ca5 0.9202 0.5279 0.3264
Ca6 0.5798 0.9721 0.8264
Ca7 0.9202 0.9721 0.3264
Ca8 0.0798 0.0279 0.6736
Pr1 0.0989 0.7500 0.9719
Pr2 0.9011 0.2500 0.0281
Pr3 0.5989 0.2500 0.5281
Pr4 0.4011 0.7500 0.4719
Be1 0.8106 0.7500 0.6063
Be2 0.1894 0.2500 0.3937
Be3 0.3106 0.2500 0.8937
Be4 0.6894 0.7500 0.1063
O1 0.8617 0.7500 0.7766
O2 0.1383 0.2500 0.2234
O3 0.3617 0.2500 0.7234
O4 0.6383 0.7500 0.2766
O5 0.3295 0.7500 0.7302
O6 0.6705 0.2500 0.2698
O7 0.8295 0.2500 0.7698
O8 0.1705 0.7500 0.2302
O9 0.0248 0.7500 0.5126
O10 0.9752 0.2500 0.4874
O11 0.5248 0.2500 0.9874
O12 0.4752 0.7500 0.0126
O13 0.6886 0.5615 0.5723
O14 0.3114 0.4385 0.4277
O15 0.1886 0.4385 0.9277
O16 0.3114 0.0615 0.4277
O17 0.8114 0.5615 0.0723
O18 0.6886 0.9385 0.5723
O19 0.8114 0.9385 0.0723
O20 0.1886 0.0615 0.9277

=====

No. 11
# Mg2Ti5P6O24, relaxed, DFT PBE-GGA
# - formation energy from the elements (meV/atom) = -2952
# - E (eV per atom) = -7.747
data_Mg2Ti5P6O24
_chemical_formula_sum 'Mg2 Ti5 P6 O24'
_cell_length_a 6.4753
_cell_length_b 8.0519
_cell_length_c 9.4722
_cell_angle_alpha 104.72
_cell_angle_beta 108.48
_cell_angle_gamma 101.52
_symmetry_space_group_name_H-M 'P 1'
_symmetry_Int_Tables_number 1
loop_
_symmetry_equiv_pos_as_xyz
'x,y,z'
loop_
_atom_site_label
_atom_site_fract_x
_atom_site_fract_y
_atom_site_fract_z
Mg1 0.2839 0.3095 0.7892
Mg2 0.7161 0.6905 0.2108
Ti1 0.0491 0.2162 0.0240
Ti2 0.9509 0.7838 0.9760
Ti3 0.5997 0.0375 0.3840
Ti4 0.4003 0.9625 0.6160
Ti5 0.0000 0.5000 0.5000
P1 0.2264 0.6423 0.2697
P2 0.7736 0.3577 0.7303
P3 0.0779 0.0870 0.3322
P4 0.9221 0.9130 0.6678
P5 0.6078 0.2749 0.1324
P6 0.3922 0.7251 0.8676
O1 0.3842 0.2848 0.0099
O2 0.6158 0.7152 0.9901
O3 0.2058 0.4441 0.2038
O4 0.7942 0.5559 0.7962
O5 0.5446 0.1383 0.2107
O6 0.4554 0.8617 0.7893
O7 0.7357 0.4645 0.2663
O8 0.2643 0.5355 0.7337
O9 0.0567 0.0440 0.1560
O10 0.9433 0.9560 0.8440
O11 0.7555 0.2258 0.0400
O12 0.2445 0.7742 0.9600
O13 0.2957 0.0398 0.4171
O14 0.7043 0.9602 0.5829
O15 0.5451 0.2427 0.7261
O16 0.4549 0.7573 0.2739
O17 0.0966 0.2810 0.4136
O18 0.9034 0.7190 0.5864
O19 0.1321 0.0435 0.6662
O20 0.8679 0.9565 0.3338
O21 0.0191 0.6870 0.1654
O22 0.9809 0.3130 0.8346
O23 0.2297 0.6895 0.4422
O24 0.7703 0.3105 0.5578